Entry 1:
ZnH7C3NO6 | PBE-GGA | optimized geometry

Lattice parameters (Å, degrees): 12.8143 12.8143 8.2812 90.00 90.00 120.00
With the nearest neighbours (Å) after each atom.
Fractional positions:
O: 0.1723 0.2407 0.7661  1 C 1.28
O: 0.9002 0.3952 0.2698  1 C 1.27
O: 0.5050 0.9002 0.7698  1 C 1.27
O: 0.2751 0.8437 0.2686  1 C 1.26
O: 0.5686 0.7249 0.2686  1 C 1.26
O: 0.0684 0.8277 0.7661  1 C 1.28
O: 0.5710 0.8369 0.0589  1 C 1.28
O: 0.0998 0.6048 0.7698  1 C 1.27
O: 0.4950 0.0998 0.2698  1 C 1.27
O: 0.8277 0.7593 0.2661  1 C 1.28
O: 0.3977 0.9063 0.5600  1 C 1.28
O: 0.7249 0.1563 0.7686  1 C 1.26
O: 0.8437 0.5686 0.7686  1 C 1.26
O: 0.0586 0.2332 0.5559  1 C 1.26
O: 0.9063 0.5086 0.0600  1 C 1.28
O: 0.8369 0.2658 0.5589  1 C 1.28
O: 0.1631 0.7342 0.0589  1 C 1.28
O: 0.2407 0.0684 0.2661  1 C 1.28
O: 0.8253 0.0586 0.0559  1 C 1.26
O: 0.3952 0.4950 0.7698  1 C 1.27
O: 0.1747 0.9414 0.5559  1 C 1.26
O: 0.4290 0.1631 0.5589  1 C 1.28
O: 0.2332 0.1747 0.0559  1 C 1.26
O: 0.7342 0.5710 0.5589  1 C 1.28
O: 0.6023 0.0937 0.0600  1 C 1.28
O: 0.9316 0.1723 0.2661  1 C 1.28
O: 0.5086 0.6023 0.5600  1 C 1.28
O: 0.6048 0.5050 0.2698  1 C 1.27
O: 0.7668 0.8253 0.5559  1 C 1.26
O: 0.0937 0.4914 0.5600  1 C 1.28
O: 0.9414 0.7668 0.0559  1 C 1.26
O: 0.1563 0.4314 0.2686  1 C 1.26
O: 0.7593 0.9316 0.7661  1 C 1.28
O: 0.4914 0.3977 0.0600  1 C 1.28
O: 0.4314 0.2751 0.7686  1 C 1.26
O: 0.2658 0.4290 0.0589  1 C 1.28
Zn: 0.6647 0.9965 0.9132  6 O 2.14-2.16
Zn: 0.3318 0.3353 0.9132  6 O 2.14-2.16
Zn: 0.3353 0.0035 0.4132  6 O 2.14-2.16
Zn: 0.9965 0.3318 0.4132  6 O 2.14-2.16
Zn: 0.0035 0.6682 0.9132  6 O 2.14-2.16
Zn: 0.6682 0.6647 0.4132  6 O 2.14-2.16
C: 0.5160 0.4722 0.1757  1 H 1.10
C: 0.5278 0.0438 0.1757  1 H 1.10
C: 0.1400 0.8510 0.6472  1 H 1.11
C: 0.3767 0.1894 0.6696  1 H 1.10
C: 0.1894 0.8127 0.1696  1 H 1.10
C: 0.1490 0.2890 0.6472  1 H 1.11
C: 0.9562 0.4840 0.1757  1 H 1.10
C: 0.8127 0.6233 0.6696  1 H 1.10
C: 0.8510 0.7110 0.1472  1 H 1.11
C: 0.4840 0.5278 0.6757  1 H 1.10
C: 0.2890 0.1400 0.1472  1 H 1.11
C: 0.4722 0.9562 0.6757  1 H 1.10
C: 0.8106 0.1873 0.6696  1 H 1.10
C: 0.6233 0.8106 0.1696  1 H 1.10
C: 0.7110 0.8600 0.6472  1 H 1.11
C: 0.1873 0.3767 0.1696  1 H 1.10
C: 0.0438 0.5160 0.6757  1 H 1.10
C: 0.8600 0.1490 0.1472  1 H 1.11
H: 0.2122 0.3857 0.6242  1 C 1.11
H: 0.3638 0.7548 0.5049  1 N 1.05
H: 0.6362 0.2452 0.0049  1 N 1.05
H: 0.2777 0.1330 0.6780  1 C 1.10
H: 0.6940 0.4208 0.5037  1 N 1.05
H: 0.8670 0.1447 0.6780  1 C 1.10
H: 0.5792 0.2731 0.5037  1 N 1.05
H: 0.2731 0.6940 0.0037  1 N 1.05
H: 0.0883 0.0299 0.3285  1 N 1.05
H: 0.8266 0.2122 0.1242  1 C 1.11
H: 0.1734 0.7878 0.6242  1 C 1.11
H: 0.3857 0.1734 0.1242  1 C 1.11
H: 0.3333 0.6667 0.3414  1 N 1.02
H: 0.6143 0.8266 0.6242  1 C 1.11
H: 0.4208 0.7269 0.0037  1 N 1.05
H: 0.6667 0.3333 0.3402  1 N 1.02
H: 0.9459 0.4562 0.6930  1 C 1.10
H: 0.7269 0.3060 0.5037  1 N 1.05
H: 0.0583 0.0883 0.8285  1 N 1.05
H: 0.0541 0.5438 0.1930  1 C 1.10
H: 0.3060 0.5792 0.0037  1 N 1.05
H: 0.9117 0.9701 0.8285  1 N 1.05
H: 0.6667 0.3333 0.8414  1 N 1.02
H: 0.5438 0.4897 0.6930  1 C 1.10
H: 0.9417 0.9117 0.3285  1 N 1.05
H: 0.7878 0.6143 0.1242  1 C 1.11
H: 0.4897 0.9459 0.1930  1 C 1.10
H: 0.0000 0.0000 0.4912  1 N 1.02
H: 0.0299 0.9417 0.8285  1 N 1.05
H: 0.3333 0.6667 0.8402  1 N 1.02
H: 0.1330 0.8553 0.1780  1 C 1.10
H: 0.6089 0.3638 0.0049  1 N 1.05
H: 0.0000 0.0000 0.9912  1 N 1.02
H: 0.1447 0.2777 0.1780  1 C 1.10
H: 0.9701 0.0583 0.3285  1 N 1.05
H: 0.5103 0.0541 0.6930  1 C 1.10
H: 0.8553 0.7223 0.6780  1 C 1.10
H: 0.4562 0.5103 0.1930  1 C 1.10
H: 0.7548 0.3911 0.0049  1 N 1.05
H: 0.3911 0.6362 0.5049  1 N 1.05
H: 0.7223 0.8670 0.1780  1 C 1.10
H: 0.2452 0.6089 0.5049  1 N 1.05
N: 0.6667 0.3333 0.4635  4 H 1.02-1.05
N: 0.0000 0.0000 0.8679  4 H 1.02-1.05
N: 0.3333 0.6667 0.9635  4 H 1.02-1.05
N: 0.6667 0.3333 0.9648  4 H 1.02-1.05
N: 0.3333 0.6667 0.4648  4 H 1.02-1.05
N: 0.0000 0.0000 0.3679  4 H 1.02-1.05

Output
E (MP2020) = -663.06 eV/cell
E above lowest polymorph = 0.00 eV/f.u.
space-group type = P6_3
raw total energy = -638.3 eV per cell
formation enthalpy at 0 K = -1099 meV/atom

=====

Entry 2:
ZnH5C9N4O5 | PBE-GGA | optimized geometry

Lattice parameters (Å, degrees): 7.8422 9.4875 15.1971 88.80 90.00 90.00
With the nearest neighbours (Å) after each atom.
Fractional positions:
H: 0.2507 0.8717 0.9602  1 C 1.09
H: 0.9732 0.1177 0.9269  1 C 1.09
H: 0.9386 0.6309 0.1278  1 C 1.09
H: 0.5268 0.6177 0.9269  1 C 1.09
H: 0.1781 0.6324 0.2337  1 C 1.09
H: 0.0595 0.6188 0.4830  1 N 1.05
H: 0.0614 0.3691 0.8722  1 C 1.09
H: 0.5614 0.1309 0.1278  1 C 1.09
H: 0.4386 0.8691 0.8722  1 C 1.09
H: 0.4732 0.3823 0.0731  1 C 1.09
H: 0.0268 0.8823 0.0731  1 C 1.09
H: 0.4405 0.1188 0.4830  1 N 1.05
H: 0.9405 0.3812 0.5170  1 N 1.05
H: 0.6781 0.8676 0.7663  1 C 1.09
H: 0.2493 0.3717 0.9602  1 C 1.09
H: 0.5595 0.8812 0.5170  1 N 1.05
H: 0.7493 0.1283 0.0398  1 C 1.09
H: 0.3219 0.1324 0.2337  1 C 1.09
H: 0.8219 0.3676 0.7663  1 C 1.09
H: 0.7507 0.6283 0.0398  1 C 1.09
C: 0.6882 0.9253 0.8277  1 H 1.09
C: 0.1801 0.2583 0.7103  2 N 1.32-1.33
C: 0.5283 0.7115 0.6069  1 O 1.25, 2 N 1.38
C: 0.1882 0.5747 0.1723  1 H 1.09
C: 0.6482 0.5645 0.9168  1 H 1.09
C: 0.2240 0.7062 0.7927  2 O 1.27
C: 0.1482 0.9355 0.0832  1 H 1.09
C: 0.8518 0.0645 0.9168  1 H 1.09
C: 0.2755 0.9302 0.0198  1 H 1.09
C: 0.7240 0.7938 0.2073  2 O 1.27
C: 0.7245 0.0698 0.9802  1 H 1.09
C: 0.0283 0.7885 0.3931  1 O 1.25, 2 N 1.38
C: 0.9451 0.4256 0.8878  1 H 1.09
C: 0.5698 0.9989 0.9670  3 C 1.40-1.49
C: 0.8118 0.4253 0.8277  1 H 1.09
C: 0.3714 0.9352 0.6070  1 O 1.24, 1 N 1.39
C: 0.3518 0.4355 0.0832  1 H 1.09
C: 0.9717 0.2115 0.6069  1 O 1.25, 2 N 1.38
C: 0.6801 0.2417 0.2897  2 N 1.32-1.33
C: 0.8714 0.5648 0.3930  1 O 1.24, 1 N 1.39
C: 0.9302 0.4989 0.9670  3 C 1.40-1.49
C: 0.5549 0.9256 0.8878  1 H 1.09
C: 0.6286 0.0648 0.3930  1 O 1.24, 1 N 1.39
C: 0.0698 0.5011 0.0330  3 C 1.40-1.49
C: 0.7755 0.5698 0.9802  1 H 1.09
C: 0.0549 0.5744 0.1122  1 H 1.09
C: 0.4717 0.2885 0.3931  1 O 1.25, 2 N 1.38
C: 0.2245 0.4302 0.0198  1 H 1.09
C: 0.8199 0.7417 0.2897  2 N 1.32-1.33
C: 0.4302 0.0011 0.0330  3 C 1.40-1.49
C: 0.3199 0.7583 0.7103  2 N 1.32-1.33
C: 0.4451 0.0744 0.1122  1 H 1.09
C: 0.2760 0.2062 0.7927  2 O 1.27
C: 0.1286 0.4352 0.6070  1 O 1.24, 1 N 1.39
C: 0.3118 0.0747 0.1723  1 H 1.09
C: 0.7760 0.2938 0.2073  2 O 1.27
O: 0.8975 0.2176 0.1810  1 C 1.27
O: 0.8511 0.4440 0.4237  1 C 1.24
O: 0.8668 0.1311 0.5713  1 C 1.25
O: 0.0974 0.0931 0.3571  1 Zn 2.07
O: 0.3668 0.3689 0.4287  1 C 1.25
O: 0.4026 0.5931 0.3571  1 Zn 2.07
O: 0.1332 0.8689 0.4287  1 C 1.25
O: 0.6489 0.9440 0.4237  1 C 1.24
O: 0.3975 0.2824 0.8190  1 C 1.27
O: 0.7786 0.9064 0.1710  1 C 1.27
O: 0.2214 0.0936 0.8290  1 C 1.27
O: 0.5974 0.4069 0.6429  1 Zn 2.07
O: 0.9026 0.9069 0.6429  1 Zn 2.07
O: 0.1025 0.7824 0.8190  1 C 1.27
O: 0.2786 0.5936 0.8290  1 C 1.27
O: 0.7214 0.4064 0.1710  1 C 1.27
O: 0.6025 0.7176 0.1810  1 C 1.27
O: 0.1489 0.5560 0.5763  1 C 1.24
O: 0.3511 0.0560 0.5763  1 C 1.24
O: 0.6332 0.6311 0.5713  1 C 1.25
N: 0.9948 0.6550 0.4264  1 H 1.05
N: 0.0579 0.1731 0.6825  2 C 1.33-1.38
N: 0.5052 0.1550 0.4264  1 H 1.05
N: 0.1640 0.0060 0.1589  2 C 1.35
N: 0.0052 0.3450 0.5736  1 H 1.05
N: 0.5579 0.3269 0.3175  2 C 1.33-1.38
N: 0.4421 0.6731 0.6825  2 C 1.33-1.38
N: 0.9421 0.8269 0.3175  2 C 1.33-1.38
N: 0.2759 0.8835 0.6774  2 C 1.32-1.39
N: 0.3360 0.5060 0.1589  2 C 1.35
N: 0.8360 0.9940 0.8411  2 C 1.35
N: 0.7241 0.1165 0.3226  2 C 1.32-1.39
N: 0.4948 0.8450 0.5736  1 H 1.05
N: 0.2241 0.3835 0.6774  2 C 1.32-1.39
N: 0.7759 0.6165 0.3226  2 C 1.32-1.39
N: 0.6640 0.4940 0.8411  2 C 1.35
Zn: 0.0493 0.9743 0.7471  3 O 2.07-2.17, 3 N 2.11-2.25
Zn: 0.4507 0.4743 0.7471  3 O 2.07-2.17, 3 N 2.11-2.25
Zn: 0.5493 0.5257 0.2529  3 O 2.07-2.17, 3 N 2.11-2.25
Zn: 0.9507 0.0257 0.2529  3 O 2.07-2.17, 3 N 2.11-2.25

Output
E (MP2020) = -677.05 eV/cell
space-group type = P2_1/c
raw total energy = -663.3 eV per cell
formation enthalpy at 0 K = -412 meV/atom

=====

Entry 3:
ZnH9C5NO6 | PBE-GGA | optimized geometry

Lattice parameters (Å, degrees): 8.2125 8.2125 8.7649 62.26 62.26 59.85
With the nearest neighbours (Å) after each atom.
Fractional positions:
H: 0.3334 0.2501 0.7509  1 C 1.11
H: 0.2817 0.6031 0.5241  1 C 1.10
H: 0.6615 0.7521 0.2486  1 C 1.11
H: 0.2501 0.3334 0.2509  1 C 1.11
H: 0.6140 0.1417 0.9035  1 C 1.10
H: 0.4092 0.8966 0.9766  1 C 1.10
H: 0.0941 0.8250 0.4448  1 C 1.11
H: 0.6755 0.3653 0.5551  1 C 1.11
H: 0.8966 0.4092 0.4766  1 C 1.10
H: 0.8354 0.1664 0.2509  1 C 1.11
H: 0.8870 0.1593 0.5955  1 C 1.11
H: 0.1593 0.8870 0.0955  1 C 1.11
H: 0.8250 0.0941 0.9448  1 C 1.11
H: 0.1417 0.6140 0.4035  1 C 1.10
H: 0.3653 0.6755 0.0551  1 C 1.11
H: 0.7521 0.6615 0.7486  1 C 1.11
H: 0.1664 0.8354 0.7509  1 C 1.11
H: 0.6031 0.2817 0.0241  1 C 1.10
C: 0.2158 0.6881 0.4135  3 H 1.10-1.11
C: 0.7961 0.7541 0.2474  1 H 1.11
C: 0.3006 0.6983 0.7533  1 H 1.11
C: 0.7541 0.7961 0.7474  1 H 1.11
C: 0.6881 0.2158 0.9135  3 H 1.10-1.11
C: 0.8125 0.3176 0.5865  3 H 1.10-1.11
C: 0.1999 0.2479 0.7493  1 H 1.11
C: 0.2479 0.1999 0.2493  1 H 1.11
C: 0.3176 0.8125 0.0865  3 H 1.10-1.11
C: 0.6983 0.3006 0.2533  1 H 1.11
O: 0.6552 0.9639 0.6595  1 C 1.27
O: 0.5332 0.2787 0.3403  1 C 1.27
O: 0.0331 0.3468 0.8376  1 C 1.27
O: 0.7760 0.8543 0.3344  1 C 1.27
O: 0.3468 0.0331 0.3376  1 C 1.27
O: 0.8543 0.7760 0.8344  1 C 1.27
O: 0.2236 0.1478 0.6610  1 C 1.27
O: 0.2787 0.5332 0.8403  1 C 1.27
O: 0.7181 0.4669 0.1666  1 C 1.27
O: 0.4669 0.7181 0.6666  1 C 1.27
O: 0.1478 0.2236 0.1610  1 C 1.27
O: 0.9639 0.6552 0.1595  1 C 1.27
N: 0.3540 0.7502 0.2506  2 C 1.41
N: 0.7502 0.3540 0.7506  2 C 1.41
Zn: 0.9985 0.5044 0.0001  6 O 2.10-2.18
Zn: 0.5044 0.9985 0.5001  6 O 2.10-2.18

Output
E (MP2020) = -261.99 eV/cell
space-group type = Cc
raw total energy = -253.7 eV per cell
formation enthalpy at 0 K = -683 meV/atom

=====

Entry 4:
ZrH36C16N4O16 | PBE-GGA | optimized geometry

Lattice parameters (Å, degrees): 10.1799 12.0069 12.4931 68.88 90.00 90.00
With the nearest neighbours (Å) after each atom.
Fractional positions:
H: 0.0106 0.2113 0.0641  1 C 1.10
H: 0.3358 0.3777 0.3734  1 O 1.02
H: 0.6511 0.2725 0.9965  1 N 1.05
H: 0.9258 0.4527 0.7916  1 O 0.99
H: 0.5146 0.6561 0.1369  1 O 0.99
H: 0.5888 0.3872 0.3898  1 N 1.04
H: 0.0761 0.1018 0.9796  1 C 1.10
H: 0.8587 0.7822 0.7161  1 C 1.10
H: 0.3122 0.0629 0.8587  1 C 1.10
H: 0.7893 0.4955 0.3037  1 C 1.09
H: 0.0529 0.0052 0.7599  1 C 1.10
H: 0.4051 0.4878 0.3896  1 O 0.97
H: 0.5761 0.8982 0.0204  1 C 1.10
H: 0.2345 0.2823 0.8076  1 O 0.99
H: 0.2362 0.4858 0.0093  1 C 1.10
H: 0.2577 0.6249 0.8940  1 C 1.10
H: 0.9931 0.5692 0.1070  1 C 1.09
H: 0.2411 0.2886 0.9314  1 O 0.99
H: 0.5106 0.7887 0.9359  1 C 1.10
H: 0.4303 0.9806 0.0164  1 C 1.10
H: 0.5127 0.1857 0.2363  1 C 1.10
H: 0.4604 0.0262 0.4970  1 C 1.10
H: 0.8122 0.9371 0.1413  1 C 1.10
H: 0.1511 0.7275 0.0035  1 N 1.05
H: 0.3665 0.8354 0.8532  1 C 1.10
H: 0.8814 0.3882 0.4165  1 C 1.10
H: 0.7480 0.4166 0.5751  1 C 1.09
H: 0.1402 0.2851 0.3532  1 O 1.00
H: 0.1784 0.7196 0.5153  1 N 1.05
H: 0.0867 0.0373 0.6127  1 C 1.10
H: 0.8367 0.9775 0.2631  1 C 1.10
H: 0.8140 0.8919 0.5544  1 C 1.10
H: 0.4258 0.5473 0.2084  1 O 0.99
H: 0.0127 0.8143 0.7637  1 C 1.10
H: 0.5867 0.9627 0.3873  1 C 1.10
H: 0.9051 0.5122 0.6104  1 O 0.97
H: 0.7577 0.3751 0.1060  1 C 1.10
H: 0.4931 0.4308 0.8930  1 C 1.09
H: 0.5744 0.4187 0.5630  1 C 1.09
H: 0.0959 0.5638 0.9319  1 C 1.10
H: 0.2480 0.5834 0.4249  1 C 1.09
H: 0.6402 0.7149 0.6468  1 O 1.00
H: 0.6270 0.5086 0.8053  1 C 1.09
H: 0.7362 0.5142 0.9907  1 C 1.10
H: 0.9604 0.9738 0.5030  1 C 1.10
H: 0.7993 0.3416 0.3146  1 C 1.09
H: 0.9303 0.0194 0.9836  1 C 1.10
H: 0.8358 0.6223 0.6266  1 O 1.02
H: 0.1690 0.4623 0.5370  1 C 1.09
H: 0.3814 0.6118 0.5835  1 C 1.10
H: 0.1270 0.4914 0.1947  1 C 1.09
H: 0.3140 0.1081 0.4456  1 C 1.10
H: 0.3587 0.2178 0.2839  1 C 1.10
H: 0.6690 0.5377 0.4630  1 C 1.09
H: 0.2993 0.6584 0.6854  1 C 1.09
H: 0.5783 0.3649 0.8056  1 C 1.09
H: 0.2752 0.6433 0.0798  1 N 1.06
H: 0.1584 0.2761 0.4823  1 O 0.99
H: 0.0146 0.3439 0.8631  1 O 0.99
H: 0.3367 0.0225 0.7369  1 C 1.10
H: 0.7345 0.7177 0.1924  1 O 0.99
H: 0.5529 0.9948 0.2401  1 C 1.10
H: 0.6584 0.7239 0.5177  1 O 0.99
H: 0.6784 0.2804 0.4847  1 N 1.05
H: 0.2893 0.5045 0.6963  1 C 1.09
H: 0.0783 0.6351 0.1944  1 C 1.09
H: 0.0888 0.6128 0.6102  1 N 1.04
H: 0.5959 0.4362 0.0681  1 C 1.10
H: 0.7752 0.3567 0.9202  1 N 1.06
H: 0.7411 0.7114 0.0686  1 O 0.99
H: 0.8665 0.1646 0.1468  1 C 1.10
H: 0.0744 0.5813 0.4370  1 C 1.09
Zr: 0.7000 0.0593 0.7331  6 O 2.16-2.23
Zr: 0.2000 0.9407 0.2669  6 O 2.16-2.23
C: 0.1931 0.5741 0.9648  3 H 1.10
C: 0.6084 0.0841 0.9645  2 O 1.26-1.29
C: 0.5887 0.4207 0.8577  3 H 1.09
C: 0.2830 0.9223 0.5184  2 O 1.24-1.31
C: 0.3688 0.0278 0.4495  2 H 1.10
C: 0.3859 0.0584 0.7961  2 H 1.10
C: 0.7830 0.0777 0.4816  2 O 1.24-1.31
C: 0.8859 0.9416 0.2039  2 H 1.10
C: 0.1661 0.5578 0.4857  3 H 1.09
C: 0.7940 0.4024 0.3620  3 H 1.09-1.10
C: 0.3453 0.1776 0.1327  2 O 1.24-1.31
C: 0.2940 0.5976 0.6380  3 H 1.09-1.10
C: 0.5102 0.9584 0.3269  2 H 1.10
C: 0.8688 0.9722 0.5505  2 H 1.10
C: 0.4724 0.8293 0.3469  2 O 1.25-1.30
C: 0.4092 0.1577 0.2489  2 H 1.10
C: 0.9719 0.1461 0.1441  2 H 1.10
C: 0.6661 0.4422 0.5143  3 H 1.09
C: 0.0215 0.0207 0.0303  2 H 1.10
C: 0.5403 0.8306 0.7574  2 O 1.24-1.30
C: 0.5215 0.9793 0.9697  2 H 1.10
C: 0.9092 0.8423 0.7511  2 H 1.10
C: 0.8453 0.8224 0.8673  2 O 1.24-1.31
C: 0.4309 0.1838 0.7214  2 O 1.24-1.30
C: 0.0102 0.0416 0.6731  2 H 1.10
C: 0.9309 0.8162 0.2786  2 O 1.24-1.30
C: 0.4719 0.8540 0.8559  2 H 1.10
C: 0.9724 0.1707 0.6531  2 O 1.25-1.30
C: 0.1084 0.9159 0.0355  2 O 1.26-1.29
C: 0.0887 0.5793 0.1423  3 H 1.09
C: 0.6931 0.4259 0.0352  3 H 1.10
C: 0.0403 0.1694 0.2426  2 O 1.24-1.30
N: 0.9956 0.0233 0.1463  3 C 1.48-1.49
N: 0.6757 0.3728 0.4372  2 H 1.04-1.05
N: 0.8947 0.9669 0.6693  3 C 1.48-1.49
N: 0.3947 0.0331 0.3307  3 C 1.48-1.49
N: 0.1757 0.6272 0.5628  2 H 1.04-1.05
N: 0.6809 0.3617 0.9538  2 H 1.05-1.06
N: 0.1809 0.6383 0.0462  2 H 1.05-1.06
N: 0.4956 0.9767 0.8537  3 C 1.48-1.49
O: 0.4294 0.6163 0.1356  2 H 0.99
O: 0.5299 0.7314 0.7478  1 C 1.24
O: 0.8613 0.7271 0.2922  1 C 1.24
O: 0.1798 0.2947 0.8679  2 H 0.99
O: 0.3613 0.2729 0.7078  1 C 1.24
O: 0.0299 0.2686 0.2522  1 C 1.24
O: 0.0441 0.2562 0.5980  1 C 1.25
O: 0.2061 0.2946 0.4087  2 H 0.99-1.00
O: 0.9162 0.5686 0.6496  2 H 0.97-1.02
O: 0.4162 0.4314 0.3504  2 H 0.97-1.02
O: 0.3525 0.2767 0.0540  1 C 1.24
O: 0.1118 0.0824 0.3105  1 C 1.30
O: 0.1808 0.8704 0.1261  1 C 1.29
O: 0.7179 0.1290 0.5422  1 C 1.31
O: 0.5441 0.7438 0.4020  1 C 1.25
O: 0.7798 0.9128 0.8750  1 C 1.31
O: 0.0427 0.8128 0.3307  1 C 1.30
O: 0.5427 0.1872 0.6693  1 C 1.30
O: 0.3631 0.8182 0.2975  1 C 1.30
O: 0.6118 0.9176 0.6895  1 C 1.30
O: 0.2738 0.8923 0.6240  1 C 1.24
O: 0.6808 0.1296 0.8739  1 C 1.29
O: 0.6095 0.1201 0.0474  1 C 1.26
O: 0.6798 0.7053 0.1321  2 H 0.99
O: 0.8525 0.7233 0.9460  1 C 1.24
O: 0.2798 0.0872 0.1250  1 C 1.31
O: 0.9294 0.3837 0.8644  2 H 0.99
O: 0.2179 0.8710 0.4578  1 C 1.31
O: 0.7738 0.1077 0.3760  1 C 1.24
O: 0.7061 0.7054 0.5913  2 H 0.99-1.00
O: 0.1095 0.8799 0.9526  1 C 1.26
O: 0.8631 0.1818 0.7025  1 C 1.30

Output
E (MP2020) = -900.57 eV/cell
space-group type = P2_1
raw total energy = -878.6 eV per cell
formation enthalpy at 0 K = -814 meV/atom